# 1
The following is a PBE calculation of crystalline CeGaNi at its relaxed geometry, from the Materials Project.

Geometry as CIF:
```
data_CeGaNi
_cell_length_a 7.406
_cell_length_b 4.498
_cell_length_c 6.708
_cell_angle_alpha 90.00
_cell_angle_beta 90.00
_cell_angle_gamma 90.00
_symmetry_space_group_name_H-M 'P n m a'
_symmetry_Int_Tables_number 62
loop_
_symmetry_equiv_pos_as_xyz
'x,y,z'
'-x,-y,-z'
'-x+1/2,-y,z+1/2'
'x+1/2,y,-z+1/2'
'x+1/2,-y+1/2,-z+1/2'
'-x+1/2,y+1/2,z+1/2'
'-x,y+1/2,-z'
'x,-y+1/2,z'
loop_
_atom_site_label
_atom_site_type_symbol
_atom_site_fract_x
_atom_site_fract_y
_atom_site_fract_z
Ce1 Ce 0.028 0.250 0.179
Ga1 Ga 0.183 0.250 0.604
Ni1 Ni 0.157 0.750 0.424
```

Output
ΔE_f ... -0.56 eV per atom
Spin magnetization ... 0.124 μB/atom

---

# 2
The following is a PBE calculation of crystalline InI2Br at its relaxed geometry, from the Materials Project.

Geometry as CIF:
```
data_InI2Br
_cell_length_a 7.239
_cell_length_b 7.362
_cell_length_c 8.413
_cell_angle_alpha 90.43
_cell_angle_beta 115.29
_cell_angle_gamma 119.40
_symmetry_space_group_name_H-M 'P 1'
_symmetry_Int_Tables_number 1
loop_
_symmetry_equiv_pos_as_xyz
'x,y,z'
loop_
_atom_site_label
_atom_site_type_symbol
_atom_site_fract_x
_atom_site_fract_y
_atom_site_fract_z
In1 In 0.000 0.000 0.000
In2 In 0.336 0.670 0.002
I1 I 0.174 0.259 0.770
I2 I 0.195 0.414 0.245
I3 I 0.509 0.913 0.767
I4 I 0.856 0.602 0.767
Br1 Br 0.431 0.026 0.215
Br2 Br 0.811 0.784 0.215
```

Output
ΔE_f ... -0.74 eV per atom

---

# 3
The following is a PBE calculation of crystalline K2HgH4PtC6N6O2 at its relaxed geometry, from the Materials Project.

Geometry as CIF:
```
data_K2HgH4PtC6N6O2
_cell_length_a 9.717
_cell_length_b 7.794
_cell_length_c 11.527
_cell_angle_alpha 90.00
_cell_angle_beta 111.82
_cell_angle_gamma 90.00
_symmetry_space_group_name_H-M 'P 1 21/c 1'
_symmetry_Int_Tables_number 14
loop_
_symmetry_equiv_pos_as_xyz
'x,y,z'
'-x,-y,-z'
'-x,y+1/2,-z+1/2'
'x,-y+1/2,z+1/2'
loop_
_atom_site_label
_atom_site_type_symbol
_atom_site_fract_x
_atom_site_fract_y
_atom_site_fract_z
K1 K 0.056 0.212 0.142
Hg1 Hg 0.500 0.000 0.000
H1 H 0.031 0.604 0.120
H2 H 0.197 0.616 0.134
Pt1 Pt 0.500 0.000 0.500
C1 C 0.284 0.030 0.976
C2 C 0.285 0.520 0.895
C3 C 0.435 0.038 0.643
N1 N 0.156 0.526 0.842
N2 N 0.159 0.049 0.960
N3 N 0.386 0.058 0.722
O1 O 0.099 0.665 0.090
```

Output
ΔE_f ... -0.28 eV per atom
Spin magnetization ... 0.000 μB/atom

---

# 4
The following is a PBE calculation of crystalline SrSnO3 at its relaxed geometry, from the Materials Project.

Geometry as CIF:
```
data_SrSnO3
_cell_length_a 4.115
_cell_length_b 4.115
_cell_length_c 4.115
_cell_angle_alpha 90.00
_cell_angle_beta 90.00
_cell_angle_gamma 90.00
_symmetry_space_group_name_H-M 'P m -3 m'
_symmetry_Int_Tables_number 221
_symmetry_space_group_name_Hall '-P 4 2 3'
loop_
_atom_site_label
_atom_site_type_symbol
_atom_site_fract_x
_atom_site_fract_y
_atom_site_fract_z
Sr1 Sr 0.000 0.000 0.000
Sn1 Sn 0.500 0.500 0.500
O1 O 0.000 0.500 0.500
```

Output
ΔE_f ... -2.59 eV per atom
Spin magnetization ... 0.000 μB/atom

---

# 5
The following is a PBE calculation of crystalline Ca2As4Xe5F34 at its relaxed geometry, from the Materials Project.

Geometry as CIF:
```
data_Ca2As4Xe5F34
_cell_length_a 8.533
_cell_length_b 23.708
_cell_length_c 8.746
_cell_angle_alpha 90.00
_cell_angle_beta 117.19
_cell_angle_gamma 90.00
_symmetry_space_group_name_H-M 'P 1 21/c 1'
_symmetry_Int_Tables_number 14
loop_
_symmetry_equiv_pos_as_xyz
'x,y,z'
'-x,-y,-z'
'-x,y+1/2,-z+1/2'
'x,-y+1/2,z+1/2'
loop_
_atom_site_label
_atom_site_type_symbol
_atom_site_fract_x
_atom_site_fract_y
_atom_site_fract_z
Ca1 Ca 0.083 0.113 0.163
As1 As 0.162 0.012 0.822
As2 As 0.309 0.674 0.797
Xe1 Xe 0.149 0.210 0.582
Xe2 Xe 0.426 0.649 0.350
Xe3 Xe 0.500 0.000 0.500
F1 F 0.050 0.023 0.282
F2 F 0.080 0.067 0.672
F3 F 0.082 0.049 0.954
F4 F 0.116 0.652 0.600
F5 F 0.126 0.218 0.208
F6 F 0.158 0.647 0.280
F7 F 0.177 0.728 0.814
F8 F 0.180 0.138 0.460
F9 F 0.223 0.544 0.473
F10 F 0.235 0.526 0.195
F11 F 0.244 0.629 0.917
F12 F 0.305 0.154 0.080
F13 F 0.366 0.045 0.936
F14 F 0.370 0.718 0.670
F15 F 0.375 0.067 0.331
F16 F 0.432 0.619 0.767
F17 F 0.493 0.697 0.986
```

Output
ΔE_f ... -2.16 eV per atom
Spin magnetization ... 0.000 μB/atom

---

# 6
The following is a PBE calculation of crystalline Al2O3 at its relaxed geometry, from the Materials Project.

Geometry as CIF:
```
data_Al2O3
_cell_length_a 9.900
_cell_length_b 10.407
_cell_length_c 10.548
_cell_angle_alpha 89.15
_cell_angle_beta 88.90
_cell_angle_gamma 86.24
_symmetry_space_group_name_H-M 'P 1'
_symmetry_Int_Tables_number 1
loop_
_symmetry_equiv_pos_as_xyz
'x,y,z'
loop_
_atom_site_label
_atom_site_type_symbol
_atom_site_fract_x
_atom_site_fract_y
_atom_site_fract_z
Al1 Al 0.000 0.000 0.000
Al2 Al 0.001 0.636 0.612
Al3 Al 0.094 0.033 0.255
Al4 Al 0.100 0.178 0.542
Al5 Al 0.149 0.326 0.189
Al6 Al 0.153 0.725 0.403
Al7 Al 0.178 0.002 0.770
Al8 Al 0.186 0.416 0.679
Al9 Al 0.196 0.699 0.874
Al10 Al 0.281 0.667 0.142
Al11 Al 0.299 0.955 0.994
Al12 Al 0.301 0.971 0.477
Al13 Al 0.311 0.256 0.916
Al14 Al 0.389 0.185 0.289
Al15 Al 0.392 0.458 0.277
Al16 Al 0.404 0.348 0.537
Al17 Al 0.427 0.496 0.756
Al18 Al 0.477 0.779 0.430
Al19 Al 0.497 0.767 0.881
Al20 Al 0.511 0.877 0.144
Al21 Al 0.571 0.079 0.500
Al22 Al 0.576 0.279 0.060
Al23 Al 0.586 0.559 0.099
Al24 Al 0.595 0.218 0.768
Al25 Al 0.660 0.683 0.657
Al26 Al 0.677 0.959 0.752
Al27 Al 0.681 0.046 0.219
Al28 Al 0.683 0.416 0.375
Al29 Al 0.720 0.675 0.337
Al30 Al 0.746 0.482 0.871
Al31 Al 0.776 0.786 0.017
Al32 Al 0.846 0.199 0.414
Al33 Al 0.877 0.202 0.146
Al34 Al 0.887 0.349 0.626
Al35 Al 0.888 0.169 0.822
Al36 Al 0.903 0.911 0.487
Al37 Al 0.910 0.845 0.218
Al38 Al 0.917 0.829 0.748
Al39 Al 0.977 0.584 0.081
Al40 Al 0.980 0.467 0.374
O1 O 0.004 0.988 0.822
O2 O 0.010 0.467 0.670
O3 O 0.029 0.465 0.202
O4 O 0.035 0.801 0.544
O5 O 0.041 0.204 0.222
O6 O 0.063 0.705 0.766
O7 O 0.066 0.584 0.455
O8 O 0.077 0.850 0.292
O9 O 0.145 0.642 0.031
O10 O 0.152 0.006 0.087
O11 O 0.201 0.031 0.606
O12 O 0.233 0.284 0.581
O13 O 0.239 0.863 0.863
O14 O 0.244 0.071 0.346
O15 O 0.254 0.280 0.067
O16 O 0.263 0.615 0.299
O17 O 0.265 0.100 0.871
O18 O 0.267 0.339 0.312
O19 O 0.270 0.400 0.827
O20 O 0.298 0.800 0.460
O21 O 0.319 0.510 0.616
O22 O 0.340 0.820 0.116
O23 O 0.373 0.643 0.851
O24 O 0.412 0.542 0.121
O25 O 0.450 0.197 0.450
O26 O 0.480 0.922 0.964
O27 O 0.480 0.942 0.480
O28 O 0.490 0.307 0.204
O29 O 0.492 0.043 0.216
O30 O 0.495 0.239 0.917
O31 O 0.498 0.439 0.418
O32 O 0.502 0.343 0.685
O33 O 0.550 0.768 0.278
O34 O 0.568 0.818 0.733
O35 O 0.569 0.083 0.666
O36 O 0.608 0.683 0.499
O37 O 0.612 0.557 0.766
O38 O 0.614 0.698 0.004
O39 O 0.646 0.426 0.004
O40 O 0.652 0.537 0.249
O41 O 0.695 0.900 0.130
O42 O 0.707 0.169 0.103
O43 O 0.711 0.080 0.389
O44 O 0.729 0.106 0.829
O45 O 0.746 0.304 0.524
O46 O 0.779 0.849 0.860
O47 O 0.792 0.339 0.783
O48 O 0.801 0.301 0.280
O49 O 0.814 0.530 0.416
O50 O 0.815 0.935 0.634
O51 O 0.817 0.822 0.369
O52 O 0.835 0.683 0.668
O53 O 0.853 0.684 0.174
O54 O 0.873 0.560 0.951
O55 O 0.900 0.026 0.204
O56 O 0.943 0.171 0.983
O57 O 0.945 0.847 0.042
O58 O 0.978 0.069 0.450
O59 O 0.986 0.205 0.682
O60 O 0.992 0.314 0.462
```

Output
ΔE_f ... -3.26 eV per atom
Spin magnetization ... 0.000 μB/atom

---

# 7
The following is a PBE calculation of crystalline Na3Ga3Te2O12 at its relaxed geometry, from the Materials Project.

Geometry as CIF:
```
data_Na3Ga3Te2O12
_cell_length_a 12.545
_cell_length_b 12.545
_cell_length_c 12.545
_cell_angle_alpha 90.00
_cell_angle_beta 90.00
_cell_angle_gamma 90.00
_symmetry_space_group_name_H-M 'I a -3 d'
_symmetry_Int_Tables_number 230
_symmetry_space_group_name_Hall '-I 4bd 2c 3'
loop_
_atom_site_label
_atom_site_type_symbol
_atom_site_fract_x
_atom_site_fract_y
_atom_site_fract_z
Na1 Na 0.000 0.250 0.125
Ga1 Ga 0.000 0.250 0.375
Te1 Te 0.000 0.000 0.000
O1 O 0.030 0.047 0.645
```

Output
ΔE_f ... -1.99 eV per atom
Spin magnetization ... 0.000 μB/atom

---

# 8
The following is a PBE calculation of crystalline Y3AlNiS7 at its relaxed geometry, from the Materials Project.

Geometry as CIF:
```
data_Y3AlNiS7
_cell_length_a 9.5390
_cell_length_b 9.5390
_cell_length_c 6.1681
_cell_angle_alpha 90.00
_cell_angle_beta 90.00
_cell_angle_gamma 120.00
_symmetry_space_group_name_H-M 'P 63'
_symmetry_Int_Tables_number 173
loop_
_symmetry_equiv_pos_as_xyz
'x,y,z'
'x-y,x,z+1/2'
'-y,x-y,z'
'-x,-y,z+1/2'
'-x+y,-x,z'
'y,-x+y,z+1/2'
loop_
_atom_site_label
_atom_site_type_symbol
_atom_site_fract_x
_atom_site_fract_y
_atom_site_fract_z
Y1 Y 0.1508 0.3756 0.0000
Al1 Al 0.3333 0.6667 0.4311
Ni1 Ni 0.0000 0.0000 0.3286
S1 S 0.0893 0.5708 0.2736
S2 S 0.0976 0.2314 0.5955
S3 S 0.3333 0.6667 0.7919
```

Output
ΔE_f ... -1.84 eV per atom
Spin magnetization ... 0.167 μB/atom